No. 1
# Na3Co6AgP8O28 (PBE with a Hubbard U, optimized geometry)
# Formation energy from the elements (eV/atom): -2.263
# Crystal system: triclinic
data_Na3Co6AgP8O28
_chemical_formula_sum 'Na3 Co6 Ag1 P8 O28'
_symmetry_space_group_name_H-M 'P 1'
_symmetry_Int_Tables_number 1
_cell_length_a 5.3860
_cell_length_b 6.4437
_cell_length_c 16.4852
_cell_angle_alpha 80.71
_cell_angle_beta 81.57
_cell_angle_gamma 72.78
loop_
_symmetry_equiv_pos_as_xyz
'x,y,z'
loop_
_atom_site_label
_atom_site_fract_x
_atom_site_fract_y
_atom_site_fract_z
Na1 0.0000 0.0000 0.0000
Na2 0.1870 0.5066 0.9609
Na3 0.4788 0.9789 0.1196
Co1 0.0541 0.6178 0.1768
Co2 0.1294 0.8888 0.7851
Co3 0.2971 0.5324 0.5702
Co4 0.3232 0.2139 0.3224
Co5 0.8620 0.2916 0.6397
Co6 0.8884 0.9738 0.3916
Ag1 0.7025 0.5254 0.8426
P1 0.2822 0.3513 0.7632
P2 0.3879 0.0346 0.5229
P3 0.4499 0.6804 0.3042
P4 0.5264 0.0033 0.8991
P5 0.6589 0.5046 0.0636
P6 0.7355 0.8257 0.6575
P7 0.7975 0.4719 0.4387
P8 0.9039 0.1551 0.1982
O1 0.0371 0.9512 0.1545
O2 0.0832 0.2258 0.7573
O3 0.1049 0.2798 0.2034
O4 0.1499 0.5559 0.8068
O5 0.2122 0.2393 0.5615
O6 0.2567 0.8533 0.5314
O7 0.2658 0.9061 0.3231
O8 0.2961 0.5406 0.2766
O9 0.3610 0.8570 0.8833
O10 0.3635 0.6095 0.0713
O11 0.4157 0.1064 0.9784
O12 0.4490 0.3911 0.6816
O13 0.4965 0.8057 0.7153
O14 0.4973 0.2045 0.8229
O15 0.5038 0.0949 0.4339
O16 0.5345 0.5525 0.3927
O17 0.6509 0.9540 0.5692
O18 0.6816 0.4114 0.5280
O19 0.6859 0.7029 0.2457
O20 0.6873 0.3003 0.1387
O21 0.7370 0.1156 0.2798
O22 0.7728 0.3959 0.9851
O23 0.8200 0.6532 0.0790
O24 0.8226 0.8989 0.8908
O25 0.8895 0.9656 0.6854
O26 0.9191 0.6005 0.6385
O27 0.9284 0.6532 0.4304
O28 0.9734 0.2672 0.4004

---

No. 2
# CaPrCr2O6 (PBE with a Hubbard U, optimized geometry)
# Formation energy from the elements (eV/atom): -2.857
# Crystal system: orthorhombic
data_CaPrCr2O6
_chemical_formula_sum 'Ca2 Pr2 Cr4 O12'
_symmetry_space_group_name_H-M 'P m n 21'
_symmetry_Int_Tables_number 31
_cell_length_a 7.7048
_cell_length_b 5.5039
_cell_length_c 5.4364
_cell_angle_alpha 90.00
_cell_angle_beta 90.00
_cell_angle_gamma 90.00
loop_
_symmetry_equiv_pos_as_xyz
'x,y,z'
'-x+1/2,-y,z+1/2'
'-x,y,z'
'x+1/2,-y,z+1/2'
loop_
_atom_site_label
_atom_site_fract_x
_atom_site_fract_y
_atom_site_fract_z
Ca1 0.0000 0.2075 0.0000
Pr1 0.0000 0.7092 0.5199
Cr1 0.2493 0.2485 0.5105
O1 0.0000 0.2698 0.4274
O2 0.0000 0.7715 0.0884
O3 0.2064 0.4626 0.7976
O4 0.2082 0.9647 0.7250

---

No. 3
# MgMoO3 (PBE with a Hubbard U, optimized geometry)
# Formation energy from the elements (eV/atom): -2.374
# Crystal system: orthorhombic
data_MgMoO3
_chemical_formula_sum 'Mg4 Mo4 O12'
_symmetry_space_group_name_H-M 'P n m a'
_symmetry_Int_Tables_number 62
_cell_length_a 5.4032
_cell_length_b 7.8505
_cell_length_c 5.2795
_cell_angle_alpha 90.00
_cell_angle_beta 90.00
_cell_angle_gamma 90.00
loop_
_symmetry_equiv_pos_as_xyz
'x,y,z'
'-x,-y,-z'
'-x+1/2,-y,z+1/2'
'x+1/2,y,-z+1/2'
'x+1/2,-y+1/2,-z+1/2'
'-x+1/2,y+1/2,z+1/2'
'-x,y+1/2,-z'
'x,-y+1/2,z'
loop_
_atom_site_label
_atom_site_fract_x
_atom_site_fract_y
_atom_site_fract_z
Mg1 0.0364 0.2500 0.0098
Mo1 0.0000 0.0000 0.5000
O1 0.0913 0.7500 0.6266
O2 0.1798 0.5701 0.1672

---

No. 4
# Al2NiO4 (PBE with a Hubbard U, optimized geometry)
# Formation energy from the elements (eV/atom): -2.781
# Crystal system: orthorhombic
# Offset from the most stable computed form (eV per formula unit): 0.16
data_Al2NiO4
_chemical_formula_sum 'Al8 Ni4 O16'
_symmetry_space_group_name_H-M 'P m n 21'
_symmetry_Int_Tables_number 31
_cell_length_a 5.7527
_cell_length_b 5.8888
_cell_length_c 8.0490
_cell_angle_alpha 90.00
_cell_angle_beta 90.00
_cell_angle_gamma 90.00
loop_
_symmetry_equiv_pos_as_xyz
'x,y,z'
'-x+1/2,-y,z+1/2'
'-x,y,z'
'x+1/2,-y,z+1/2'
loop_
_atom_site_label
_atom_site_fract_x
_atom_site_fract_y
_atom_site_fract_z
Al1 0.0000 0.9997 0.9997
Al2 0.0000 0.4995 0.0000
Al3 0.2500 0.2505 0.7498
Ni1 0.0000 0.2491 0.3681
Ni2 0.0000 0.7503 0.6317
O1 0.0000 0.0343 0.7619
O2 0.0000 0.4661 0.7622
O3 0.0000 0.5337 0.2380
O4 0.0000 0.9651 0.2375
O5 0.2214 0.2496 0.9893
O6 0.2214 0.7494 0.0105

---

No. 5
# Fe3B7IO13 (PBE with a Hubbard U, optimized geometry)
# Formation energy from the elements (eV/atom): -2.445
# Crystal system: trigonal
# Offset from the most stable computed form (eV per formula unit): 0.00
data_Fe3B7IO13
_chemical_formula_sum 'Fe18 B42 I6 O78'
_symmetry_space_group_name_H-M 'R 3 c'
_symmetry_Int_Tables_number 161
_symmetry_space_group_name_Hall 'R 3 -2"c'
_cell_length_a 8.7719
_cell_length_b 8.7719
_cell_length_c 21.4645
_cell_angle_alpha 90.00
_cell_angle_beta 90.00
_cell_angle_gamma 120.00
loop_
_atom_site_label
_atom_site_fract_x
_atom_site_fract_y
_atom_site_fract_z
Fe1 0.0240 0.5117 0.0000
B1 0.0000 0.0000 0.1041
B2 0.0043 0.5009 0.2521
B3 0.0996 0.2020 0.4740
I1 0.0000 0.0000 0.2584
O1 0.0000 0.0000 0.4896
O2 0.0037 0.1596 0.6078
O3 0.0218 0.2234 0.9160
O4 0.0301 0.4460 0.6909
O5 0.0760 0.3798 0.1312

---

No. 6
# KMnP3O9 (PBE with a Hubbard U, optimized geometry)
# Formation energy from the elements (eV/atom): -2.643
# Crystal system: hexagonal
data_KMnP3O9
_chemical_formula_sum 'K2 Mn2 P6 O18'
_symmetry_space_group_name_H-M 'P -6 c 2'
_symmetry_Int_Tables_number 188
_symmetry_space_group_name_Hall 'P -6c 2'
_cell_length_a 6.7604
_cell_length_b 6.7604
_cell_length_c 10.1844
_cell_angle_alpha 90.00
_cell_angle_beta 90.00
_cell_angle_gamma 120.00
loop_
_atom_site_label
_atom_site_fract_x
_atom_site_fract_y
_atom_site_fract_z
K1 0.0000 0.0000 0.0000
Mn1 0.6667 0.3333 0.0000
P1 0.0547 0.4395 0.2500
O1 0.1414 0.4317 0.7500
O2 0.4007 0.0658 0.1235

---

No. 7
# K6Co2O7 (PBE with a Hubbard U, optimized geometry)
# Formation energy from the elements (eV/atom): -1.540
# Crystal system: monoclinic
data_K6Co2O7
_chemical_formula_sum 'K12 Co4 O14'
_symmetry_space_group_name_H-M 'P 1 21/c 1'
_symmetry_Int_Tables_number 14
_cell_length_a 6.6370
_cell_length_b 9.2084
_cell_length_c 11.2183
_cell_angle_alpha 90.00
_cell_angle_beta 123.90
_cell_angle_gamma 90.00
loop_
_symmetry_equiv_pos_as_xyz
'x,y,z'
'-x,-y,-z'
'-x,y+1/2,-z+1/2'
'x,-y+1/2,z+1/2'
loop_
_atom_site_label
_atom_site_fract_x
_atom_site_fract_y
_atom_site_fract_z
K1 0.0686 0.1511 0.4331
K2 0.1968 0.5269 0.4429
K3 0.4221 0.2020 0.2872
Co1 0.3100 0.6434 0.8643
O1 0.0347 0.6675 0.8576
O2 0.2439 0.5959 0.6914
O3 0.5000 0.0000 0.5000
O4 0.5001 0.1984 0.0719

---

No. 8
# Rh2WO6 (PBE with a Hubbard U, optimized geometry)
# Formation energy from the elements (eV/atom): -1.521
# Crystal system: tetragonal
data_Rh2WO6
_chemical_formula_sum 'Rh4 W2 O12'
_symmetry_space_group_name_H-M 'P 42/m n m'
_symmetry_Int_Tables_number 136
_symmetry_space_group_name_Hall '-P 4n 2n'
_cell_length_a 4.6279
_cell_length_b 4.6279
_cell_length_c 9.4793
_cell_angle_alpha 90.00
_cell_angle_beta 90.00
_cell_angle_gamma 90.00
loop_
_atom_site_label
_atom_site_fract_x
_atom_site_fract_y
_atom_site_fract_z
Rh1 0.0000 0.0000 0.1681
W1 0.0000 0.0000 0.5000
O1 0.1943 0.1943 0.3351
O2 0.1974 0.1974 0.0000

---

No. 9
# FeOF (PBE with a Hubbard U, optimized geometry)
# Formation energy from the elements (eV/atom): -2.030
# Crystal system: monoclinic
data_FeOF
_chemical_formula_sum 'Fe12 O12 F12'
_symmetry_space_group_name_H-M 'P 1 m 1'
_symmetry_Int_Tables_number 6
_cell_length_a 9.4982
_cell_length_b 3.0959
_cell_length_c 14.2827
_cell_angle_alpha 90.00
_cell_angle_beta 90.54
_cell_angle_gamma 90.00
loop_
_symmetry_equiv_pos_as_xyz
'x,y,z'
'x,-y,z'
loop_
_atom_site_label
_atom_site_fract_x
_atom_site_fract_y
_atom_site_fract_z
Fe1 0.0000 0.0000 0.0000
Fe2 0.0005 0.0000 0.6757
Fe3 0.2614 0.5000 0.8151
Fe4 0.2822 0.5000 0.1703
Fe5 0.2841 0.5000 0.5023
Fe6 0.4932 0.0000 0.6691
Fe7 0.4990 0.0000 0.3359
Fe8 0.5044 0.0000 0.0114
Fe9 0.7193 0.5000 0.1726
Fe10 0.7796 0.5000 0.8367
Fe11 0.7844 0.5000 0.5071
Fe12 0.9952 0.0000 0.3401
O1 0.1605 0.0000 0.7701
O2 0.3491 0.0000 0.2337
O3 0.3563 0.0000 0.5693
O4 0.4068 0.5000 0.0620
O5 0.4107 0.5000 0.4014
O6 0.4245 0.5000 0.7368
O7 0.6041 0.5000 0.2763
O8 0.6632 0.0000 0.0985
O9 0.8582 0.0000 0.9078
O10 0.8656 0.0000 0.5682
O11 0.9102 0.5000 0.3957
O12 0.9104 0.5000 0.7366
F1 0.0992 0.5000 0.2663
F2 0.1083 0.5000 0.6026
F3 0.1083 0.5000 0.9440
F4 0.1520 0.0000 0.1009
F5 0.1587 0.0000 0.4348
F6 0.3532 0.0000 0.9000
F7 0.6042 0.5000 0.9310
F8 0.6132 0.5000 0.6067
F9 0.6654 0.0000 0.7745
F10 0.6656 0.0000 0.4446
F11 0.8574 0.0000 0.2281
F12 0.9182 0.5000 0.0710